DFT (PBE) results for a geometry-optimized ThMn3Ni2 structure.

Summary:
- Total magnetic moment: 1.1793 μB/atom
- Final energy: -7.80 eV per atom
- Formation enthalpy at 0 K: -60.2 meV/atom
- SG: P6/mmm, No. 191
- Crystal system: hexagonal

a = 5.0167 Å, b = 5.0167 Å, c = 4.1373 Å
α = 90.00°, β = 90.00°, γ = 120.00°
With the nearest neighbours (Å) after each atom.
Fractional positions:
Th 0.0000 0.0000 0.0000  6 Ni 2.90
Mn 0.5000 0.5000 0.5000  4 Mn 2.51, 4 Ni 2.53
Mn 0.5000 0.0000 0.5000  4 Mn 2.51, 4 Ni 2.53
Mn 0.0000 0.5000 0.5000  4 Mn 2.51, 4 Ni 2.53
Ni 0.6667 0.3333 0.0000  6 Mn 2.53
Ni 0.3333 0.6667 0.0000  6 Mn 2.53